12
Lattice="4.509 0.000 0.000 0.000 7.323 0.000 0.000 0.000 7.427" Properties=species:S:1:pos:R:3 comment="PBE PrGeIr, optimized geometry" rho_g_cm3=10.99 dft_energy_ev_per_atom=-6.88 sg="No. 62" pbc="T T T"
Pr 3.382 2.356 0.134
Ge 1.127 2.845 2.261
Ir 1.127 0.514 1.066
Ir 1.127 3.147 4.780
Ir 3.382 6.809 6.361
Ge 3.382 6.507 1.453
Pr 1.127 6.017 3.579
Pr 1.127 4.967 7.293
Ir 3.382 4.176 2.648
Ge 3.382 4.478 5.166
Pr 3.382 1.306 3.848
Ge 1.127 0.816 5.975